First-principles (r2SCAN) data for crystalline CeScPd6 at its relaxed geometry, as listed in the Materials Project.

a b c (Å): 4.064 4.064 8.074
angles (deg): 90.00 90.00 90.00
Element x y z (fractional)
Pd 0.000 0.500 0.257
Pd 0.000 0.500 0.743
Pd 0.500 0.500 0.000
Pd 0.500 0.000 0.257
Pd 0.500 0.000 0.743
Pd 0.500 0.500 0.500
Sc 0.000 0.000 0.500
Ce 0.000 0.000 0.000

Output
The formation energy is -0.858 eV per atom.